No. 1
The following is a DFT calculation (GGA-PBE) of crystalline CdI2O6 at its relaxed geometry.

Lattice parameters (Å, degrees): 17.8796 5.5975 11.3482 90.00 90.00 90.00
With the nearest neighbours (Å) after each atom.
Sites, in units of the cell vectors:
Cd 0.0593 0.2197 0.0000  6 O 2.28-2.48
Cd 0.1115 0.7266 0.2829  6 O 2.28-2.42
Cd 0.3885 0.7266 0.7829  6 O 2.28-2.42
Cd 0.4407 0.2197 0.5000  6 O 2.28-2.48
Cd 0.5593 0.7803 0.0000  6 O 2.28-2.48
Cd 0.6115 0.2734 0.2829  6 O 2.28-2.42
Cd 0.8885 0.2734 0.7829  6 O 2.28-2.42
Cd 0.9407 0.7803 0.5000  6 O 2.28-2.48
I 0.0301 0.7853 0.7579  3 O 1.83-1.89
I 0.1092 0.3207 0.5141  3 O 1.83-1.86
I 0.1972 0.7283 0.0271  3 O 1.84-1.86
I 0.2233 0.1977 0.7720  3 O 1.84-1.87
I 0.2767 0.1977 0.2720  3 O 1.84-1.87
I 0.3028 0.7283 0.5271  3 O 1.84-1.86
I 0.3908 0.3207 0.0141  3 O 1.83-1.86
I 0.4699 0.7853 0.2579  3 O 1.83-1.89
I 0.5301 0.2147 0.7579  3 O 1.83-1.89
I 0.6092 0.6793 0.5141  3 O 1.83-1.86
I 0.6972 0.2717 0.0271  3 O 1.84-1.86
I 0.7233 0.8023 0.7720  3 O 1.84-1.87
I 0.7767 0.8023 0.2720  3 O 1.84-1.87
I 0.8028 0.2717 0.5271  3 O 1.84-1.86
I 0.8908 0.6793 0.0141  3 O 1.83-1.86
I 0.9699 0.2147 0.2579  3 O 1.83-1.89
O 0.0155 0.9649 0.3440  1 I 1.89
O 0.0234 0.4602 0.4523  1 I 1.86
O 0.0420 0.9378 0.6162  1 I 1.83
O 0.0541 0.3744 0.2042  1 I 1.85
O 0.1093 0.4438 0.6638  1 I 1.83
O 0.1137 0.8880 0.0850  1 I 1.86
O 0.1489 0.0105 0.8418  1 I 1.87
O 0.1497 0.4852 0.9459  1 I 1.85
O 0.1734 0.5356 0.4410  1 I 1.86
O 0.1957 0.0397 0.3343  1 I 1.84
O 0.2110 0.5769 0.1692  1 I 1.84
O 0.2208 0.0772 0.6209  1 I 1.84
O 0.2792 0.0772 0.1209  1 I 1.84
O 0.2890 0.5769 0.6692  1 I 1.84
O 0.3043 0.0397 0.8343  1 I 1.84
O 0.3266 0.5356 0.9410  1 I 1.86
O 0.3503 0.4852 0.4459  1 I 1.85
O 0.3511 0.0105 0.3418  1 I 1.87
O 0.3863 0.8880 0.5850  1 I 1.86
O 0.3907 0.4438 0.1638  1 I 1.83
O 0.4459 0.3744 0.7042  1 I 1.85
O 0.4580 0.9378 0.1162  1 I 1.83
O 0.4766 0.4602 0.9523  1 I 1.86
O 0.4845 0.9649 0.8440  1 I 1.89
O 0.5155 0.0351 0.3440  1 I 1.89
O 0.5234 0.5398 0.4523  1 I 1.86
O 0.5420 0.0622 0.6162  1 I 1.83
O 0.5541 0.6256 0.2042  1 I 1.85
O 0.6093 0.5562 0.6638  1 I 1.83
O 0.6137 0.1120 0.0850  1 I 1.86
O 0.6489 0.9895 0.8418  1 I 1.87
O 0.6497 0.5148 0.9459  1 I 1.85
O 0.6734 0.4644 0.4410  1 I 1.86
O 0.6957 0.9603 0.3343  1 I 1.84
O 0.7110 0.4231 0.1692  1 I 1.84
O 0.7208 0.9228 0.6209  1 I 1.84
O 0.7792 0.9228 0.1209  1 I 1.84
O 0.7890 0.4231 0.6692  1 I 1.84
O 0.8043 0.9603 0.8343  1 I 1.84
O 0.8266 0.4644 0.9410  1 I 1.86
O 0.8503 0.5148 0.4459  1 I 1.85
O 0.8511 0.9895 0.3418  1 I 1.87
O 0.8863 0.1120 0.5850  1 I 1.86
O 0.8907 0.5562 0.1638  1 I 1.83
O 0.9459 0.6256 0.7042  1 I 1.85
O 0.9580 0.0622 0.1162  1 I 1.83
O 0.9766 0.5398 0.9523  1 I 1.86
O 0.9845 0.0351 0.8440  1 I 1.89

Energy relative to the elements, eV/atom: -1.0163
Magnetic moment, μB/cell: 0.00
SG: Pca2_1 (29)
Total DFT energy (no corrections), eV/atom: -4.298

---

No. 2
The following is a DFT calculation (GGA-PBE) of crystalline Tm2CuO4 at its relaxed geometry.

Lattice parameters (Å, degrees): 4.6714 5.8343 6.0408 90.00 103.01 90.00
With the nearest neighbours (Å) after each atom.
Sites, in units of the cell vectors:
Tm 0.1616 0.0374 0.3049  7 O 2.26-2.49
Tm 0.1616 0.4626 0.8049  7 O 2.26-2.49
Tm 0.8384 0.5374 0.1951  7 O 2.26-2.49
Tm 0.8384 0.9626 0.6951  7 O 2.26-2.49
Cu 0.5000 0.0000 0.0000  4 O 1.94-2.03
Cu 0.5000 0.5000 0.5000  4 O 1.94-2.03
O 0.1410 0.6961 0.5008  1 Cu 2.03, 2 Tm 2.26-2.27
O 0.1410 0.8039 0.0008  1 Cu 2.03, 2 Tm 2.26-2.27
O 0.3367 0.1076 0.6945  1 Cu 1.94
O 0.3367 0.3924 0.1945  1 Cu 1.94
O 0.6633 0.6076 0.8055  1 Cu 1.94
O 0.6633 0.8924 0.3055  1 Cu 1.94
O 0.8590 0.1961 0.9992  1 Cu 2.03, 2 Tm 2.26-2.27
O 0.8590 0.3039 0.4992  1 Cu 2.03, 2 Tm 2.26-2.27

Energy relative to the elements, eV/atom: -2.9469
Magnetic moment, μB/cell: 2.00
SG: P2_1/c (14)
Total DFT energy (no corrections), eV/atom: -7.246

---

No. 3
The following is a DFT calculation (GGA-PBE) of crystalline Sm12Co6Sn at its relaxed geometry.

Lattice parameters (Å, degrees): 8.6408 8.6408 8.6408 109.47 109.47 109.47
With the nearest neighbours (Å) after each atom.
Sites, in units of the cell vectors:
Sm 0.1120 0.8069 0.3051  3 Co 2.75-2.96
Sm 0.1931 0.3051 0.4982  3 Co 2.75-2.96
Sm 0.1931 0.6949 0.8880  3 Co 2.75-2.96
Sm 0.3051 0.1120 0.8069  3 Co 2.75-2.96
Sm 0.3051 0.4982 0.1931  3 Co 2.75-2.96
Sm 0.4982 0.1931 0.3051  3 Co 2.75-2.96
Sm 0.5018 0.8069 0.6949  3 Co 2.75-2.96
Sm 0.6949 0.5018 0.8069  3 Co 2.75-2.96
Sm 0.6949 0.8880 0.1931  3 Co 2.75-2.96
Sm 0.8069 0.3051 0.1120  3 Co 2.75-2.96
Sm 0.8069 0.6949 0.5018  3 Co 2.75-2.96
Sm 0.8880 0.1931 0.6949  3 Co 2.75-2.96
Co 0.1117 0.6117 0.5000  1 Co 2.23
Co 0.3883 0.5000 0.8883  1 Co 2.23
Co 0.5000 0.1117 0.6117  1 Co 2.23
Co 0.5000 0.8883 0.3883  1 Co 2.23
Co 0.6117 0.5000 0.1117  1 Co 2.23
Co 0.8883 0.3883 0.5000  1 Co 2.23
Sn 0.0000 0.0000 0.0000  12 Sm 3.60

Energy relative to the elements, eV/atom: -0.2122
SG: Im-3 (204)
Total DFT energy (no corrections), eV/atom: -5.648

---

No. 4
The following is a DFT calculation (GGA-PBE) of crystalline Rb2DyAgCl6 at its relaxed geometry.

Lattice parameters (Å, degrees): 7.6119 7.6119 7.6119 60.00 60.00 60.00
With the nearest neighbours (Å) after each atom.
Sites, in units of the cell vectors:
Rb 0.2500 0.2500 0.2500  12 Cl 3.81
Rb 0.7500 0.7500 0.7500  12 Cl 3.81
Dy 0.0000 0.0000 0.0000  6 Cl 2.63
Ag 0.5000 0.5000 0.5000  6 Cl 2.75
Cl 0.2446 0.2446 0.7554  1 Dy 2.63, 1 Ag 2.75
Cl 0.2446 0.7554 0.2446  1 Dy 2.63, 1 Ag 2.75
Cl 0.2446 0.7554 0.7554  1 Dy 2.63, 1 Ag 2.75
Cl 0.7554 0.2446 0.2446  1 Dy 2.63, 1 Ag 2.75
Cl 0.7554 0.2446 0.7554  1 Dy 2.63, 1 Ag 2.75
Cl 0.7554 0.7554 0.2446  1 Dy 2.63, 1 Ag 2.75

Energy relative to the elements, eV/atom: -2.1801
Magnetic moment, μB/cell: 0.01
SG: Fm-3m (225)
Total DFT energy (no corrections), eV/atom: -3.861

---

Q: Which of these has the highest energy relative to the elements?
A: Sm12Co6Sn

---

Q: The lowest energy relative to the elements belongs to which entry?
A: Tm2CuO4

---

Q: total DFT energy (no corrections) of number 3 (Sm12Co6Sn)?
A: -5.648 eV/atom

---

Q: The highest total DFT energy (no corrections) belongs to which entry?
A: Rb2DyAgCl6